VASP calculation (r²SCAN) on an optimized crystal structure of CsH5O3.

Lattice parameters (Å, degrees): 13.1166 6.7147 9.0011 90.00 90.00 90.00
Fractional positions:
Cs: 0.0785 0.0656 0.0000
Cs: 0.1544 0.4000 0.3865
Cs: 0.3456 0.4000 0.8865
Cs: 0.4215 0.0656 0.5000
Cs: 0.5785 0.9344 0.0000
Cs: 0.6544 0.6000 0.3865
Cs: 0.8456 0.6000 0.8865
Cs: 0.9215 0.9344 0.5000
H: 0.0360 0.7506 0.2449
H: 0.0441 0.5434 0.7107
H: 0.0716 0.5885 0.0706
H: 0.1087 0.5838 0.9048
H: 0.1218 0.2268 0.6859
H: 0.1278 0.7223 0.6886
H: 0.1780 0.8645 0.4525
H: 0.1976 0.8663 0.2760
H: 0.2043 0.0503 0.6617
H: 0.2244 0.7067 0.0819
H: 0.2756 0.7067 0.5819
H: 0.2957 0.0503 0.1617
H: 0.3024 0.8663 0.7760
H: 0.3220 0.8645 0.9525
H: 0.3722 0.7223 0.1886
H: 0.3782 0.2268 0.1859
H: 0.3913 0.5838 0.4048
H: 0.4284 0.5885 0.5706
H: 0.4559 0.5434 0.2107
H: 0.4640 0.7506 0.7449
H: 0.5360 0.2494 0.2449
H: 0.5441 0.4566 0.7107
H: 0.5716 0.4115 0.0706
H: 0.6087 0.4162 0.9048
H: 0.6218 0.7732 0.6859
H: 0.6278 0.2777 0.6886
H: 0.6780 0.1355 0.4525
H: 0.6976 0.1337 0.2760
H: 0.7043 0.9497 0.6617
H: 0.7244 0.2933 0.0819
H: 0.7756 0.2933 0.5819
H: 0.7957 0.9497 0.1617
H: 0.8024 0.1337 0.7760
H: 0.8220 0.1355 0.9525
H: 0.8722 0.2777 0.1886
H: 0.8782 0.7732 0.1859
H: 0.8913 0.4162 0.4048
H: 0.9284 0.4115 0.5706
H: 0.9559 0.4566 0.2107
H: 0.9640 0.2494 0.7449
O: 0.0089 0.3134 0.6735
O: 0.0613 0.6838 0.7395
O: 0.1265 0.5293 0.0035
O: 0.1453 0.8929 0.3534
O: 0.1961 0.1898 0.6931
O: 0.2275 0.8075 0.6166
O: 0.2725 0.8075 0.1166
O: 0.3039 0.1898 0.1931
O: 0.3547 0.8929 0.8534
O: 0.3735 0.5293 0.5035
O: 0.4387 0.6838 0.2395
O: 0.4911 0.3134 0.1735
O: 0.5089 0.6866 0.6735
O: 0.5613 0.3162 0.7395
O: 0.6265 0.4707 0.0035
O: 0.6453 0.1071 0.3534
O: 0.6961 0.8102 0.6931
O: 0.7275 0.1925 0.6166
O: 0.7725 0.1925 0.1166
O: 0.8039 0.8102 0.1931
O: 0.8547 0.1071 0.8534
O: 0.8735 0.4707 0.5035
O: 0.9387 0.3162 0.2395
O: 0.9911 0.6866 0.1735

Energy of formation: -1.23 eV/atom
ρ: 3.12 g cm⁻³